VASP calculation (PBE-GGA) on an optimized crystal structure of PrAu2.

Properties
**Calculated formation energy**: -0.76 eV per atom
**Symmetry**: Imma (74)

Cell lengths 4.7260, 6.0150, 6.0150 Å; angles 73.89, 66.87, 66.87 degrees
With the nearest neighbours (Å) after each atom.
Sites, in units of the cell vectors:
Pr  0.4654  0.2846  0.7846  12 Au 3.25-3.48
Au  0.8365  0.1305  0.1966  3 Au 2.77-2.78
Pr  0.5346  0.7154  0.2154  12 Au 3.25-3.48
Au  0.1635  0.8695  0.8034  3 Au 2.77-2.78
Au  0.8365  0.6966  0.6305  3 Au 2.77-2.78
Au  0.1635  0.3034  0.3695  3 Au 2.77-2.78



VASP calculation (PBE-GGA) on an optimized crystal structure of Al2Cu.

Properties
**Calculated formation energy**: -0.17 eV per atom
**Symmetry**: I4/mcm (140)

Cell lengths 4.9282, 4.9282, 4.9282 Å; angles 103.83, 103.83, 121.46 degrees
With the nearest neighbours (Å) after each atom.
Sites, in units of the cell vectors:
Al  0.8424  0.3424  0.1848  4 Cu 2.59, 3 Al 2.71-2.89
Al  0.3424  0.1576  0.5000  4 Cu 2.59, 3 Al 2.71-2.89
Cu  0.2500  0.2500  0.0000  2 Cu 2.41, 8 Al 2.59
Al  0.1576  0.6576  0.8152  4 Cu 2.59, 3 Al 2.71-2.89
Al  0.6576  0.8424  0.5000  4 Cu 2.59, 3 Al 2.71-2.89
Cu  0.7500  0.7500  0.0000  2 Cu 2.41, 8 Al 2.59



VASP calculation (PBE-GGA) on an optimized crystal structure of Ag3SBr.

Properties
**Total magnetization**: 0.00 μB/cell
**Calculated formation energy**: -0.31 eV per atom
**Symmetry**: Cmcm (63)

Cell lengths 6.9924, 6.9924, 9.9171 Å; angles 90.00, 90.00, 91.05 degrees
With the nearest neighbours (Å) after each atom.
Sites, in units of the cell vectors:
Ag  0.9748  0.5529  0.7500  2 S 2.51
S  0.5000  0.0000  0.0000  6 Ag 2.48-2.51
Ag  0.2574  0.2574  0.0207  2 S 2.50
Br  0.4959  0.4959  0.7500  10 Ag 3.24-3.56
S  0.5000  0.0000  0.5000  6 Ag 2.48-2.51
Ag  0.7082  0.2918  0.0000  2 S 2.48
Ag  0.7426  0.7426  0.5207  2 S 2.50
Ag  0.7426  0.7426  0.9793  2 S 2.50
Ag  0.5529  0.9748  0.7500  2 S 2.51
Ag  0.2918  0.7082  0.5000  2 S 2.48
Ag  0.2918  0.7082  0.0000  2 S 2.48
Ag  0.7082  0.2918  0.5000  2 S 2.48
Br  0.9672  0.9672  0.7500  4 Ag 2.90-3.17
Ag  0.4471  0.0252  0.2500  2 S 2.51
Br  0.0328  0.0328  0.2500  4 Ag 2.90-3.17
Ag  0.2574  0.2574  0.4793  2 S 2.50
S  0.0000  0.5000  0.5000  6 Ag 2.48-2.51
Br  0.5041  0.5041  0.2500  10 Ag 3.24-3.56
S  0.0000  0.5000  0.0000  6 Ag 2.48-2.51
Ag  0.0252  0.4471  0.2500  2 S 2.51



VASP calculation (PBE-GGA) on an optimized crystal structure of LiTi2BiO6.

Properties
**Total magnetization**: 0.00 μB/cell
**Calculated formation energy**: -2.84 eV per atom
**Symmetry**: R3 (146)

Cell lengths 5.5742, 5.5742, 5.5742 Å; angles 58.15, 58.15, 58.15 degrees
With the nearest neighbours (Å) after each atom.
Sites, in units of the cell vectors:
O  0.1627  0.3451  0.7663  1 Ti 1.88
O  0.8225  0.6833  0.2633  1 Ti 1.86
Bi  0.2161  0.2161  0.2161  6 O 2.36-2.40
Li  0.7025  0.7025  0.7025  6 O 2.22-2.34
O  0.3451  0.7663  0.1627  1 Ti 1.88
O  0.7663  0.1627  0.3451  1 Ti 1.88
Ti  0.4860  0.4860  0.4860  3 O 1.88
O  0.6833  0.2633  0.8225  1 Ti 1.86
O  0.2633  0.8225  0.6833  1 Ti 1.86
Ti  0.9864  0.9864  0.9864  3 O 1.86



VASP calculation (PBE-GGA) on an optimized crystal structure of Ta2Se8I.

Properties
**Total magnetization**: 0.00 μB/cell
**Calculated formation energy**: -0.56 eV per atom
**Symmetry**: I422 (97)

Cell lengths 9.4955, 9.4955, 9.4955 Å; angles 117.92, 117.92, 93.64 degrees
With the nearest neighbours (Å) after each atom.
Sites, in units of the cell vectors:
Se  0.5847  0.3401  0.6645  1 Se 2.43, 2 Ta 2.62-2.70
Se  0.0015  0.8045  0.5662  1 Se 2.43, 1 Ta 2.65
Se  0.0798  0.3243  0.6645  1 Se 2.43, 2 Ta 2.62-2.70
Se  0.3401  0.6757  0.7555  1 Se 2.43, 2 Ta 2.62-2.70
Se  0.2383  0.4354  0.4338  1 Se 2.43, 1 Ta 2.65
Se  0.6757  0.9202  0.3355  1 Se 2.43, 2 Ta 2.62-2.70
Ta  0.7500  0.2500  0.5000  8 Se 2.62-2.73
I  0.1545  0.1545  0.0000  4 Se 3.33
Se  0.1955  0.9985  0.4338  1 Se 2.43, 1 Ta 2.65
Se  0.5646  0.7617  0.5662  1 Se 2.43, 1 Ta 2.65
Se  0.3243  0.6599  0.2445  1 Se 2.43, 2 Ta 2.62-2.70
Ta  0.2500  0.7500  0.5000  8 Se 2.62-2.73
Se  0.7617  0.1955  0.1971  1 Se 2.43, 1 Ta 2.65
Ta  0.0000  0.5000  0.5000  8 Se 2.65-2.70
Se  0.4153  0.0798  0.7555  1 Se 2.43, 2 Ta 2.62-2.70
Se  0.6599  0.4153  0.3355  1 Se 2.43, 2 Ta 2.62-2.70
I  0.8455  0.8455  0.0000  4 Se 3.33
Ta  0.5000  0.0000  0.5000  8 Se 2.65-2.70
Se  0.8045  0.2383  0.8029  1 Se 2.43, 1 Ta 2.65
Se  0.4354  0.0015  0.1971  1 Se 2.43, 1 Ta 2.65
Se  0.9202  0.5847  0.2445  1 Se 2.43, 2 Ta 2.62-2.70
Se  0.9985  0.5646  0.8029  1 Se 2.43, 1 Ta 2.65



VASP calculation (PBE-GGA) on an optimized crystal structure of Cs3Y2Cl9.

Properties
**Calculated formation energy**: -2.60 eV per atom
**Symmetry**: R-3c (167)

Cell lengths 10.0088, 10.0088, 10.0088 Å; angles 84.05, 84.05, 84.05 degrees
With the nearest neighbours (Å) after each atom.
Sites, in units of the cell vectors:
Cl  0.5768  0.2354  0.4185  1 Y 2.57
Cl  0.1001  0.3999  0.2500  2 Y 2.76
Cl  0.7500  0.8999  0.6001  2 Y 2.76
Y  0.1506  0.1506  0.1506  6 Cl 2.57-2.76
Cl  0.4185  0.5768  0.2354  1 Y 2.57
Cl  0.6001  0.7500  0.8999  2 Y 2.76
Cl  0.2646  0.9232  0.0815  1 Y 2.57
Cl  0.7354  0.0768  0.9185  1 Y 2.57
Cl  0.3999  0.2500  0.1001  2 Y 2.76
Cl  0.2354  0.4185  0.5768  1 Y 2.57
Cl  0.7646  0.5815  0.4232  1 Y 2.57
Y  0.6506  0.6506  0.6506  6 Cl 2.57-2.76
Cs  0.4106  0.0894  0.7500  12 Cl 3.78-3.99
Y  0.3494  0.3494  0.3494  6 Cl 2.57-2.76
Cl  0.9185  0.7354  0.0768  1 Y 2.57
Cl  0.0815  0.2646  0.9232  1 Y 2.57
Cs  0.2500  0.5894  0.9106  12 Cl 3.78-3.99
Cl  0.2500  0.1001  0.3999  2 Y 2.76
Cs  0.0894  0.7500  0.4106  12 Cl 3.78-3.99
Cl  0.0768  0.9185  0.7354  1 Y 2.57
Cl  0.8999  0.6001  0.7500  2 Y 2.76
Cl  0.4232  0.7646  0.5815  1 Y 2.57
Cs  0.9106  0.2500  0.5894  12 Cl 3.78-3.99
Cl  0.9232  0.0815  0.2646  1 Y 2.57
Cs  0.5894  0.9106  0.2500  12 Cl 3.78-3.99
Cs  0.7500  0.4106  0.0894  12 Cl 3.78-3.99
Y  0.8494  0.8494  0.8494  6 Cl 2.57-2.76
Cl  0.5815  0.4232  0.7646  1 Y 2.57



VASP calculation (PBE-GGA) on an optimized crystal structure of RbTbS2O12.

Properties
**Total magnetization**: 24.00 μB/cell
**Calculated formation energy**: -1.32 eV per atom
**Symmetry**: P2_1/c (14)

Cell lengths 6.2795, 8.9142, 19.2608 Å; angles 90.00, 90.00, 93.85 degrees
With the nearest neighbours (Å) after each atom.
Sites, in units of the cell vectors:
O  0.1741  0.1223  0.7339  1 S 1.53
O  0.3512  0.3924  0.0758  1 S 1.50
S  0.3700  0.0913  0.7775  4 O 1.45-1.53
O  0.8061  0.0143  0.3714  1 Tb 2.35, 2 O 2.37-2.42
O  0.7082  0.3629  0.6104  1 S 1.54
Rb  0.8423  0.3640  0.7867  5 O 2.90-3.08
O  0.2871  0.1996  0.4693  1 O 1.23
S  0.6300  0.9087  0.2225  4 O 1.45-1.53
O  0.8061  0.5143  0.1286  1 Tb 2.35, 2 O 2.37-2.42
S  0.1934  0.2593  0.0668  4 O 1.43-1.54
S  0.6300  0.4087  0.2775  4 O 1.45-1.53
O  0.4296  0.4572  0.5419  1 O 1.97
O  0.1741  0.6223  0.7661  1 S 1.53
O  0.7740  0.2065  0.9283  1 O 1.23
S  0.8066  0.7407  0.9332  4 O 1.43-1.54
O  0.6489  0.0696  0.2017  1 S 1.49
O  0.1939  0.9857  0.6286  1 Tb 2.35, 2 O 2.37-2.42
O  0.2260  0.7935  0.0717  1 O 1.23
Rb  0.1577  0.6360  0.2133  5 O 2.90-3.08
O  0.6108  0.3065  0.3359  1 S 1.45
Tb  0.3705  0.7268  0.8698  7 O 2.29-2.49
O  0.2871  0.6996  0.0307  1 O 1.23
O  0.8442  0.7830  0.0042  1 S 1.43
O  0.3511  0.9304  0.7983  1 S 1.49
O  0.9881  0.2890  0.1043  1 S 1.52
O  0.3892  0.1935  0.8359  1 S 1.45
O  0.5520  0.6168  0.7736  1 S 1.51
O  0.4480  0.3832  0.2264  1 S 1.51
O  0.3511  0.4304  0.7017  1 S 1.49
O  0.3892  0.6935  0.6641  1 S 1.45
O  0.5704  0.5428  0.4581  1 O 1.97
O  0.1939  0.4857  0.8714  1 Tb 2.35, 2 O 2.37-2.42
O  0.7082  0.8629  0.8896  1 S 1.54
O  0.3512  0.8924  0.4242  1 S 1.50
O  0.4296  0.9572  0.9581  1 O 1.97
O  0.0119  0.7110  0.8957  1 S 1.52
O  0.1558  0.2170  0.9958  1 S 1.43
O  0.2918  0.1371  0.1104  1 S 1.54
O  0.7740  0.7065  0.5717  1 O 1.23
S  0.3700  0.5913  0.7225  4 O 1.45-1.53
O  0.5704  0.0428  0.0419  1 O 1.97
Rb  0.8423  0.8640  0.7133  5 O 2.90-3.08
O  0.1558  0.7170  0.5042  1 S 1.43
O  0.7129  0.3004  0.9693  1 O 1.23
O  0.6488  0.1076  0.5758  1 S 1.50
Rb  0.1577  0.1360  0.2867  5 O 2.90-3.08
O  0.6489  0.5696  0.2983  1 S 1.49
Tb  0.6295  0.7732  0.3698  7 O 2.29-2.49
O  0.2918  0.6371  0.3896  1 S 1.54
O  0.7129  0.8004  0.5307  1 O 1.23
S  0.1934  0.7593  0.4332  4 O 1.43-1.54
O  0.4480  0.8832  0.2736  1 S 1.51
O  0.6108  0.8065  0.1641  1 S 1.45
O  0.0119  0.2110  0.6043  1 S 1.52
O  0.8442  0.2830  0.4958  1 S 1.43
S  0.8066  0.2407  0.5668  4 O 1.43-1.54
Tb  0.3705  0.2268  0.6302  7 O 2.29-2.49
O  0.2260  0.2935  0.4283  1 O 1.23
O  0.6488  0.6076  0.9242  1 S 1.50
O  0.9881  0.7890  0.3957  1 S 1.52
O  0.5520  0.1168  0.7264  1 S 1.51
O  0.8259  0.8777  0.2661  1 S 1.53
Tb  0.6295  0.2732  0.1302  7 O 2.29-2.49
O  0.8259  0.3777  0.2339  1 S 1.53



VASP calculation (PBE-GGA) on an optimized crystal structure of Ca3Ga4O9.

Properties
**Calculated formation energy**: -2.74 eV per atom
**Symmetry**: Cmm2 (35)

Cell lengths 11.1738, 11.1738, 5.3728 Å; angles 90.00, 90.00, 99.00 degrees
With the nearest neighbours (Å) after each atom.
Sites, in units of the cell vectors:
Ga  0.9846  0.7971  0.5129  4 O 1.80-1.98
O  0.0000  0.5000  0.7576  2 Ga 1.93
O  0.0240  0.2029  0.8481  1 Ga 1.80
Ca  0.4024  0.5976  0.0918  6 O 2.37-2.64
O  0.7971  0.9760  0.8481  1 Ga 1.80
O  0.3919  0.3919  0.2677  1 Ga 1.82
Ca  0.2403  0.2403  0.0461  6 O 2.44-2.61
O  0.7962  0.4050  0.3585  2 Ga 1.86-1.88
O  0.0670  0.3461  0.3367  2 Ga 1.86-1.87
Ca  0.3387  0.9203  0.0321  5 O 2.27-2.42
Ga  0.4650  0.1341  0.5593  4 O 1.84-1.93
O  0.6081  0.6081  0.2677  1 Ga 1.82
Ga  0.7377  0.2623  0.5282  4 O 1.82-1.96
Ga  0.2029  0.0154  0.5129  4 O 1.80-1.98
O  0.9760  0.7971  0.8481  1 Ga 1.80
O  0.4050  0.7962  0.3585  2 Ga 1.86-1.88
Ga  0.0154  0.2029  0.5129  4 O 1.80-1.98
Ga  0.5350  0.8659  0.5593  4 O 1.84-1.93
O  0.9330  0.6539  0.3367  2 Ga 1.86-1.87
O  0.2451  0.4151  0.7724  2 Ga 1.84-1.89
O  0.4151  0.2451  0.7724  2 Ga 1.84-1.89
O  0.5950  0.2038  0.3585  2 Ga 1.86-1.88
Ga  0.1341  0.4650  0.5593  4 O 1.84-1.93
Ga  0.8659  0.5350  0.5593  4 O 1.84-1.93
Ca  0.7597  0.7597  0.0461  6 O 2.44-2.61
Ca  0.0000  0.0000  0.9978  6 O 2.36-2.38
O  0.5000  0.0000  0.7576  2 Ga 1.93
Ga  0.2623  0.7377  0.5282  4 O 1.82-1.96
O  0.1539  0.8461  0.4020  3 Ga 1.96-1.98
O  0.3461  0.0670  0.3367  2 Ga 1.86-1.87
O  0.2038  0.5950  0.3585  2 Ga 1.86-1.88
O  0.2714  0.7286  0.8649  1 Ga 1.82
Ca  0.5976  0.4024  0.0918  6 O 2.37-2.64
Ca  0.6613  0.0797  0.0321  5 O 2.27-2.42
O  0.1028  0.1028  0.3389  2 Ga 1.85
O  0.5000  0.5000  0.7780  2 Ga 1.87
Ga  0.3881  0.3881  0.6065  4 O 1.82-1.89
Ca  0.0797  0.6613  0.0321  5 O 2.27-2.42
Ca  0.9203  0.3387  0.0321  5 O 2.27-2.42
O  0.7286  0.2714  0.8649  1 Ga 1.82
O  0.8461  0.1539  0.4020  3 Ga 1.96-1.98
Ga  0.6119  0.6119  0.6065  4 O 1.82-1.89
O  0.8972  0.8972  0.3389  2 Ga 1.85
O  0.6539  0.9330  0.3367  2 Ga 1.86-1.87
O  0.5849  0.7549  0.7724  2 Ga 1.84-1.89
O  0.7549  0.5849  0.7724  2 Ga 1.84-1.89
Ga  0.7971  0.9846  0.5129  4 O 1.80-1.98
O  0.2029  0.0240  0.8481  1 Ga 1.80



VASP calculation (PBE-GGA) on an optimized crystal structure of Si2H2O3.

Properties
**Total magnetization**: 0.00 μB/cell
**Calculated formation energy**: -1.45 eV per atom
**Symmetry**: P1 (1)

Cell lengths 8.4777, 10.4312, 12.3939 Å; angles 82.18, 70.24, 68.77 degrees
With the nearest neighbours (Å) after each atom.
Sites, in units of the cell vectors:
O  0.2646  0.7831  0.4786  2 Si 1.69-1.70
O  0.0406  0.9219  0.2152  2 Si 1.71-1.72
O  0.9908  0.0639  0.7829  2 Si 1.66-1.72
H  0.6138  0.3397  0.4824  1 O 0.98
H  0.8196  0.9850  0.0898  1 O 0.98
O  0.1361  0.3655  0.1803  1 H 1.00
O  0.6303  0.5055  0.6959  2 Si 1.69-1.70
O  0.2873  0.9335  0.6162  1 H 0.99
O  0.7761  0.4456  0.2202  1 H 1.02
O  0.5616  0.6956  0.5405  1 H 0.98
H  0.9625  0.2509  0.0276  1 O 0.99
Si  0.5507  0.4075  0.8065  1 O 1.70
Si  0.5547  0.5627  0.2311  3 O 1.80-1.88
O  0.0805  0.6729  0.6599  1 H 1.00
Si  0.8695  0.6915  0.9616  1 O 1.69
H  0.0365  0.7312  0.7288  1 O 1.00
O  0.0055  0.5454  0.8556  1 H 1.00
Si  0.8287  0.0075  0.7894  1 O 1.66
O  0.9315  0.9267  0.6238  1 H 1.00
O  0.1628  0.1159  0.1161  2 Si 1.70-1.72
H  0.3831  0.6509  0.8214  1 O 1.01
H  0.0140  0.2195  0.2795  1 O 0.98
H  0.0510  0.8370  0.8672  1 O 0.99
Si  0.2000  0.9864  0.2165  2 O 1.72
Si  0.6951  0.3684  0.9867  3 O 1.66-1.85
H  0.3635  0.5216  0.6624  1 O 0.98
H  0.1936  0.4367  0.1481  1 O 1.00
O  0.5053  0.2141  0.2639  1 H 1.01
H  0.8393  0.4052  0.1405  1 O 1.02
O  0.8647  0.4128  0.4087  2 Si 1.68-1.71
H  0.5772  0.6124  0.5038  1 O 0.98
H  0.4257  0.5293  0.0977  1 O 1.07
H  0.9980  0.4616  0.9037  1 O 1.00
Si  0.9193  0.5012  0.2864  1 O 1.68
Si  0.0987  0.4907  0.6970  2 O 1.70-1.86
O  0.0250  0.6677  0.0256  2 Si 1.66-1.69
Si  0.2370  0.6306  0.0165  3 O 1.66-1.80
O  0.7072  0.9897  0.1496  1 H 0.98
Si  0.8540  0.8880  0.3002  2 O 1.71-1.89
O  0.4280  0.4702  0.3488  1 H 0.98
Si  0.0584  0.7723  0.5291  3 O 1.69-1.88
Si  0.9299  0.2577  0.4763  2 O 1.71-1.88
Si  0.5934  0.1207  0.5202  2 O 1.67-1.81
H  0.1639  0.9412  0.6257  1 O 0.99
Si  0.4374  0.8859  0.8627  1 O 1.66
H  0.8456  0.1081  0.3470  1 O 1.03
O  0.2511  0.7996  0.9788  1 H 0.98
O  0.8955  0.3471  0.0121  1 H 0.99
O  0.3207  0.4432  0.6772  1 H 0.98
O  0.7466  0.0660  0.3627  1 H 1.03
O  0.0028  0.1540  0.3442  1 H 0.98
H  0.6065  0.1601  0.2958  1 O 1.01
Si  0.4133  0.8588  0.4743  2 O 1.70-1.83
O  0.3615  0.5728  0.8757  1 H 1.01
H  0.3733  0.8335  0.7020  1 O 1.03
O  0.5504  0.4771  0.1132  1 H 1.07
O  0.6748  0.2177  0.0368  2 Si 1.66
O  0.9528  0.8243  0.8494  1 H 0.99
O  0.4492  0.7744  0.7523  1 H 1.03
H  0.8218  0.9736  0.6006  1 O 1.00
H  0.3305  0.5477  0.3932  1 O 0.98
O  0.2827  0.0221  0.8304  2 Si 1.66-1.69
O  0.4187  0.2270  0.4814  2 Si 1.66-1.67
Si  0.3179  0.3149  0.3868  1 O 1.66
O  0.6875  0.2539  0.5101  1 H 0.98
Si  0.5456  0.1404  0.1320  3 O 1.66-1.78
Si  0.1711  0.1187  0.7406  2 O 1.69-1.72
Si  0.6786  0.6509  0.6504  2 O 1.69-1.86
Si  0.2772  0.2266  0.0618  1 O 1.70
H  0.1850  0.8579  0.0469  1 O 0.98